Record 1
K2NaBiBr6 | GGA-PBE | optimized geometry

```
K2NaBiBr6
1.0
0.000 5.749 5.749
5.749 0.000 5.749
5.749 5.749 0.000
K Na Bi Br
2 1 1 6
Cartesian
2.874 2.874 2.874 K
8.623 8.623 8.623 K
0.000 0.000 0.000 Na
5.749 5.749 5.749 Bi
5.749 5.749 2.890 Br
5.749 2.890 5.749 Br
8.608 5.749 5.749 Br
2.890 5.749 5.749 Br
5.749 8.608 5.749 Br
5.749 5.749 8.608 Br
```

Calculated values
* energy of formation: -1.606 eV per atom
* SG: No. 225

***

Record 2
KBi6BrO9 | GGA-PBE | optimized geometry

```
KBi6BrO9
1.0
-8.753 8.753 8.753
8.753 -8.753 8.753
8.753 8.753 -8.753
K Bi Br O
8 48 8 72
Cartesian
0.000 0.000 0.000 K
4.377 4.377 -4.377 K
4.377 -4.377 4.377 K
8.753 0.000 0.000 K
-4.377 4.377 4.377 K
0.000 8.753 0.000 K
0.000 0.000 8.753 K
4.377 4.377 4.377 K
4.377 0.224 0.000 Bi
8.753 4.377 -4.152 Bi
6.904 6.565 -6.226 Bi
6.226 -1.849 2.188 Bi
6.565 -6.226 6.904 Bi
6.904 -2.188 6.226 Bi
14.979 1.849 2.188 Bi
4.377 4.152 0.000 Bi
8.753 4.377 -0.224 Bi
2.188 6.226 -1.849 Bi
0.224 0.000 4.377 Bi
4.152 0.000 4.377 Bi
10.942 2.528 1.849 Bi
8.978 0.000 4.377 Bi
12.906 0.000 4.377 Bi
0.000 4.377 0.224 Bi
4.377 -4.152 8.753 Bi
6.226 6.904 -2.188 Bi
6.904 2.188 2.528 Bi
6.565 6.226 1.849 Bi
-1.849 2.188 6.226 Bi
6.226 1.849 6.565 Bi
0.000 4.377 4.152 Bi
4.377 -0.224 8.753 Bi
4.377 8.978 0.000 Bi
8.753 4.377 4.601 Bi
2.528 6.904 2.188 Bi
10.602 6.565 2.528 Bi
2.188 2.528 6.904 Bi
1.849 6.565 6.226 Bi
2.528 1.849 10.942 Bi
4.377 12.906 0.000 Bi
8.753 4.377 8.529 Bi
-4.152 8.753 4.377 Bi
-0.224 8.753 4.377 Bi
-2.188 6.226 6.904 Bi
4.601 8.753 4.377 Bi
8.529 8.753 4.377 Bi
6.565 2.528 10.602 Bi
0.000 4.377 8.978 Bi
4.377 4.601 8.753 Bi
-6.226 6.904 6.565 Bi
1.849 10.942 2.528 Bi
2.188 14.979 1.849 Bi
2.528 10.602 6.565 Bi
1.849 2.188 14.979 Bi
0.000 4.377 12.906 Bi
4.377 8.529 8.753 Bi
6.565 2.188 -2.188 Br
10.942 -2.188 2.188 Br
2.188 2.188 2.188 Br
2.188 -2.188 6.565 Br
-2.188 6.565 2.188 Br
2.188 10.942 -2.188 Br
-2.188 2.188 10.942 Br
6.565 6.565 6.565 Br
7.028 -4.393 5.464 O
14.855 1.087 -0.017 O
11.405 1.087 0.017 O
10.479 -4.360 5.464 O
13.114 3.290 -1.725 O
8.770 -6.102 7.667 O
8.420 6.565 -4.710 O
4.710 -0.333 2.188 O
8.420 -2.188 4.710 O
13.464 0.333 2.188 O
5.464 7.028 -4.393 O
7.667 -0.017 2.651 O
7.667 8.770 -6.102 O
5.464 -1.725 4.393 O
6.565 -4.710 8.420 O
4.393 5.464 -1.725 O
8.737 2.651 1.087 O
2.188 4.710 -0.333 O
10.942 4.043 0.333 O
13.147 3.290 1.725 O
8.737 -2.651 7.667 O
6.565 4.710 0.333 O
7.667 8.737 -2.651 O
5.464 1.725 4.360 O
5.464 10.479 -4.360 O
7.667 0.017 6.102 O
4.710 8.420 -2.188 O
8.420 2.188 4.043 O
-0.333 2.188 4.710 O
4.710 0.333 6.565 O
4.360 5.464 1.725 O
8.770 6.102 1.087 O
2.651 7.667 -0.017 O
10.479 4.360 3.290 O
6.102 7.667 0.017 O
7.028 4.393 3.290 O
1.725 4.360 5.464 O
2.651 1.087 8.737 O
-1.725 4.393 5.464 O
6.102 1.087 8.770 O
-0.017 2.651 7.667 O
4.393 3.290 7.028 O
4.043 8.420 2.188 O
9.087 6.565 4.043 O
0.333 6.565 4.710 O
4.043 0.333 10.942 O
1.087 8.737 2.651 O
3.290 -1.725 13.114 O
3.290 7.028 4.393 O
1.087 0.017 11.405 O
2.188 4.043 8.420 O
0.017 11.405 1.087 O
-4.393 5.464 7.028 O
-2.188 4.710 8.420 O
6.565 4.043 9.087 O
0.017 6.102 7.667 O
4.360 3.290 10.479 O
2.188 13.464 0.333 O
3.290 10.479 4.360 O
1.087 -0.017 14.855 O
1.087 8.770 6.102 O
3.290 1.725 13.147 O
-4.710 8.420 6.565 O
0.333 10.942 4.043 O
4.043 9.087 6.565 O
0.333 2.188 13.464 O
-0.017 14.855 1.087 O
-4.360 5.464 10.479 O
-1.725 13.114 3.290 O
-2.651 7.667 8.737 O
-6.102 7.667 8.770 O
1.725 13.147 3.290 O
```

Calculated values
* energy of formation: -1.659 eV per atom
* SG: No. 230

***

Record 3
K2BiBr5O2 | GGA-PBE | optimized geometry

```
K2BiBr5O2
1.0
9.139 0.000 0.000
0.000 19.450 0.000
0.000 0.000 13.528
K Bi Br O
16 8 40 16
Cartesian
0.219 0.325 2.898 K
0.219 9.400 2.898 K
0.257 14.587 11.974 K
1.374 14.587 2.194 K
3.195 4.862 8.958 K
4.313 4.862 5.210 K
4.350 10.050 9.662 K
4.350 19.125 9.662 K
4.788 0.325 3.866 K
4.788 9.400 3.866 K
4.826 14.587 8.318 K
5.944 14.587 4.569 K
7.765 4.862 11.333 K
8.882 4.862 1.554 K
8.920 10.050 10.630 K
8.920 19.125 10.630 K
0.887 12.021 6.809 Bi
0.887 17.154 6.809 Bi
3.682 2.296 0.045 Bi
3.682 7.429 0.045 Bi
5.457 12.021 13.483 Bi
5.457 17.154 13.483 Bi
8.251 2.296 6.719 Bi
8.251 7.429 6.719 Bi
0.423 2.607 9.325 Br
0.423 7.118 9.325 Br
0.676 1.758 13.164 Br
0.676 7.967 13.164 Br
0.808 4.862 5.281 Br
1.602 0.433 5.981 Br
1.602 9.292 5.981 Br
2.156 14.587 6.144 Br
2.209 3.016 3.254 Br
2.209 6.709 3.254 Br
2.360 12.741 10.017 Br
2.360 16.434 10.017 Br
2.413 4.862 12.908 Br
2.967 10.158 12.745 Br
2.967 19.017 12.745 Br
3.761 14.587 12.045 Br
3.893 11.483 6.400 Br
3.893 17.692 6.400 Br
4.146 12.332 2.561 Br
4.146 16.843 2.561 Br
4.992 2.607 10.967 Br
4.992 7.118 10.967 Br
5.246 1.758 7.127 Br
5.246 7.967 7.127 Br
5.378 4.862 1.483 Br
6.171 0.433 0.783 Br
6.171 9.292 0.783 Br
6.726 14.587 0.620 Br
6.779 3.016 3.510 Br
6.779 6.709 3.510 Br
6.929 12.741 10.274 Br
6.929 16.434 10.274 Br
6.982 4.862 7.384 Br
7.537 10.158 7.547 Br
7.537 19.017 7.547 Br
8.331 14.587 8.247 Br
8.462 11.483 0.364 Br
8.462 17.692 0.364 Br
8.716 12.332 4.203 Br
8.716 16.843 4.203 Br
0.502 12.818 0.334 O
0.502 16.356 0.334 O
1.444 11.491 8.954 O
1.444 17.684 8.954 O
3.125 1.766 2.191 O
3.125 7.959 2.191 O
4.068 3.093 7.098 O
4.068 6.632 7.098 O
5.071 12.818 6.430 O
5.071 16.356 6.430 O
6.014 11.491 11.337 O
6.014 17.684 11.337 O
7.694 1.766 4.573 O
7.694 7.959 4.573 O
8.637 3.093 13.194 O
8.637 6.632 13.194 O
```

Calculated values
* energy above the most stable polymorph in this dataset: 0.000 eV/atom
* energy of formation: -0.993 eV per atom
* SG: No. 62

***

Record 4
K2BiBr5O2 | GGA-PBE | optimized geometry

```
K2BiBr5O2
1.0
8.561 0.000 0.000
0.000 21.369 0.000
0.000 0.000 14.065
K Bi Br O
16 8 40 16
Cartesian
0.090 5.342 2.129 K
0.348 11.126 11.302 K
0.348 20.928 11.302 K
1.501 5.342 11.859 K
2.779 16.027 4.826 K
3.932 0.441 4.269 K
3.932 10.244 4.269 K
4.191 16.027 9.162 K
4.370 5.342 4.903 K
4.628 11.126 9.796 K
4.628 20.928 9.796 K
5.782 5.342 9.239 K
7.059 16.027 2.206 K
8.213 0.441 2.763 K
8.213 10.244 2.763 K
8.471 16.027 11.936 K
0.833 3.022 6.831 Bi
0.833 7.663 6.831 Bi
3.447 13.706 13.864 Bi
3.447 18.348 13.864 Bi
5.114 3.022 0.201 Bi
5.114 7.663 0.201 Bi
7.727 13.706 7.234 Bi
7.727 18.348 7.234 Bi
0.198 13.525 4.425 Br
0.198 18.529 4.425 Br
0.954 16.027 7.769 Br
1.007 12.334 0.383 Br
1.007 19.720 0.383 Br
1.040 11.934 8.043 Br
1.040 20.120 8.043 Br
1.705 16.027 0.923 Br
1.798 3.224 4.180 Br
1.798 7.460 4.180 Br
2.483 13.909 11.213 Br
2.483 18.145 11.213 Br
2.575 5.342 7.955 Br
3.240 1.249 1.011 Br
3.240 9.436 1.011 Br
3.273 1.649 7.416 Br
3.273 9.035 7.416 Br
3.327 5.342 0.737 Br
4.083 2.840 11.457 Br
4.083 7.845 11.457 Br
4.478 13.525 2.608 Br
4.478 18.529 2.608 Br
5.234 16.027 13.328 Br
5.287 12.334 6.649 Br
5.287 19.720 6.649 Br
5.320 11.934 13.054 Br
5.320 20.120 13.054 Br
5.985 16.027 6.110 Br
6.078 3.224 2.852 Br
6.078 7.460 2.852 Br
6.763 13.909 9.885 Br
6.763 18.145 9.885 Br
6.855 5.342 13.143 Br
7.520 1.249 6.022 Br
7.520 9.436 6.022 Br
7.553 1.649 13.682 Br
7.553 9.035 13.682 Br
7.607 5.342 6.296 Br
8.363 2.840 9.641 Br
8.363 7.845 9.641 Br
0.289 3.778 13.882 O
0.289 6.907 13.882 O
1.561 11.607 4.180 O
1.561 20.447 4.180 O
2.720 0.922 11.213 O
2.720 9.762 11.213 O
3.991 14.462 6.850 O
3.991 17.592 6.850 O
4.570 3.778 7.216 O
4.570 6.907 7.216 O
5.841 11.607 2.852 O
5.841 20.447 2.852 O
7.000 0.922 9.885 O
7.000 9.762 9.885 O
8.271 14.462 0.183 O
8.271 17.592 0.183 O
```

Calculated values
* energy above the most stable polymorph in this dataset: 0.299 eV/atom
* energy of formation: -0.694 eV per atom
* SG: No. 62

***

Record 5
K2RbBiBr6 | GGA-PBE | optimized geometry

```
K2RbBiBr6
1.0
0.000 6.106 6.106
6.106 0.000 6.106
6.106 6.106 0.000
K Rb Bi Br
2 1 1 6
Cartesian
3.053 3.053 3.053 K
9.159 9.159 9.159 K
0.000 0.000 0.000 Rb
6.106 6.106 6.106 Bi
6.106 6.106 3.244 Br
6.106 3.244 6.106 Br
8.968 6.106 6.106 Br
3.244 6.106 6.106 Br
6.106 8.968 6.106 Br
6.106 6.106 8.968 Br
```

Calculated values
* energy of formation: -1.601 eV per atom
* SG: No. 225

***

Record 6
Rb2LiBiBr6 | GGA-PBE | optimized geometry

```
Rb2LiBiBr6
1.0
0.000 5.618 5.618
5.618 0.000 5.618
5.618 5.618 0.000
Rb Li Bi Br
2 1 1 6
Cartesian
2.809 2.809 2.809 Rb
8.427 8.427 8.427 Rb
0.000 0.000 0.000 Li
5.618 5.618 5.618 Bi
5.618 5.618 2.751 Br
5.618 2.751 5.618 Br
8.484 5.618 5.618 Br
2.751 5.618 5.618 Br
5.618 8.484 5.618 Br
5.618 5.618 8.484 Br
```

Calculated values
* energy of formation: -1.645 eV per atom
* SG: No. 225